1.
Material: Li9Mn2Co5O16
Method: DFT, GGA+U
State: relaxed

Structure (CIF):
```
data_Li9Mn2Co5O16
_chemical_formula_sum 'Li9 Mn2 Co5 O16'
_cell_length_a 9.7707
_cell_length_b 2.8945
_cell_length_c 10.3265
_cell_angle_alpha 90.00
_cell_angle_beta 99.44
_cell_angle_gamma 90.00
_symmetry_space_group_name_H-M 'P 1 m 1'
_symmetry_Int_Tables_number 6
_symmetry_space_group_name_Hall 'P -2y'
loop_
_atom_site_label
_atom_site_fract_x
_atom_site_fract_y
_atom_site_fract_z
Li1 0.0000 0.0000 0.0000
Li2 0.0000 0.0000 0.4769
Li3 0.2528 0.5000 0.1289
Li4 0.2533 0.5000 0.6049
Li5 0.4962 0.0000 0.7202
Li6 0.5015 0.5000 0.4885
Li7 0.5097 0.0000 0.2632
Li8 0.7471 0.5000 0.3684
Li9 0.7495 0.5000 0.8677
Mn1 0.2507 0.0000 0.8658
Mn2 0.7434 0.0000 0.6074
Co1 0.0100 0.5000 0.2418
Co2 0.2693 0.0000 0.3821
Co3 0.5081 0.5000 0.9952
Co4 0.7563 0.0000 0.1198
Co5 0.9967 0.5000 0.7400
O1 0.1192 0.0000 0.6988
O2 0.1217 0.0000 0.1829
O3 0.1302 0.5000 0.4205
O4 0.1428 0.5000 0.9237
O5 0.3595 0.5000 0.8066
O6 0.3669 0.0000 0.5479
O7 0.3690 0.5000 0.3074
O8 0.3761 0.0000 0.0316
O9 0.6189 0.0000 0.9356
O10 0.6278 0.5000 0.1716
O11 0.6378 0.0000 0.4450
O12 0.6421 0.5000 0.6741
O13 0.8635 0.5000 0.5596
O14 0.8733 0.5000 0.0558
O15 0.8798 0.0000 0.7858
O16 0.8840 0.0000 0.2933
```

Results
crystal system: monoclinic
offset from the most stable computed form: 0.065 eV per atom
ΔH_f (0 K): -1.800 eV/atom


2.
Material: Sr2CoOsO6
Method: DFT, GGA+U
State: relaxed

Structure (CIF):
```
data_Sr2CoOsO6
_chemical_formula_sum 'Sr4 Co2 Os2 O12'
_cell_length_a 5.5579
_cell_length_b 5.5579
_cell_length_c 8.1792
_cell_angle_alpha 90.00
_cell_angle_beta 90.00
_cell_angle_gamma 90.00
_symmetry_space_group_name_H-M 'I 4/m'
_symmetry_Int_Tables_number 87
_symmetry_space_group_name_Hall '-I 4'
loop_
_atom_site_label
_atom_site_fract_x
_atom_site_fract_y
_atom_site_fract_z
Sr1 0.0000 0.5000 0.2500
Co1 0.0000 0.0000 0.0000
Os1 0.0000 0.0000 0.5000
O1 0.0000 0.0000 0.2624
O2 0.2114 0.7230 0.5000
```

Results
crystal system: tetragonal
ΔH_f (0 K): -2.244 eV/atom


3.
Material: Li9Mn2Co5O16
Method: DFT, GGA+U
State: relaxed

Structure (CIF):
```
data_Li9Mn2Co5O16
_chemical_formula_sum 'Li9 Mn2 Co5 O16'
_cell_length_a 5.1092
_cell_length_b 7.6897
_cell_length_c 7.7999
_cell_angle_alpha 98.74
_cell_angle_beta 101.48
_cell_angle_gamma 102.70
_symmetry_space_group_name_H-M 'P 1'
_symmetry_Int_Tables_number 1
_symmetry_space_group_name_Hall 'P 1'
loop_
_atom_site_label
_atom_site_fract_x
_atom_site_fract_y
_atom_site_fract_z
Li1 0.0000 0.0000 0.0000
Li2 0.0001 0.2524 0.7536
Li3 0.0028 0.6235 0.8771
Li4 0.0060 0.5097 0.4979
Li5 0.0105 0.3823 0.1365
Li6 0.4994 0.6277 0.3778
Li7 0.9921 0.8759 0.6248
Li8 0.9991 0.1259 0.3766
Li9 0.9988 0.7446 0.2590
Mn1 0.4985 0.2535 0.2534
Mn2 0.5028 0.8764 0.1308
Co1 0.4951 0.3831 0.6230
Co2 0.4994 0.5040 0.0098
Co3 0.4988 0.9990 0.5016
Co4 0.5004 0.7501 0.7430
Co5 0.5123 0.1290 0.8746
O1 0.2634 0.5007 0.7554
O2 0.2691 0.7715 0.5142
O3 0.2700 0.0059 0.2397
O4 0.2701 0.3651 0.3762
O5 0.2743 0.6374 0.1190
O6 0.2758 0.2543 0.0195
O7 0.2849 0.1289 0.6307
O8 0.2917 0.8819 0.8892
O9 0.7137 0.2395 0.4855
O10 0.7148 0.8834 0.3654
O11 0.7225 0.1198 0.1300
O12 0.7267 0.3729 0.8807
O13 0.7313 0.7565 0.0119
O14 0.7338 0.4826 0.2490
O15 0.7342 0.6214 0.6407
O16 0.7481 0.0030 0.7530
```

Results
crystal system: triclinic
offset from the most stable computed form: 0.027 eV per atom
ΔH_f (0 K): -1.838 eV/atom


4.
Material: MoO2
Method: DFT, GGA+U
State: relaxed

Structure (CIF):
```
data_MoO2
_chemical_formula_sum 'Mo3 O6'
_cell_length_a 3.1972
_cell_length_b 3.1972
_cell_length_c 14.2472
_cell_angle_alpha 90.00
_cell_angle_beta 90.00
_cell_angle_gamma 120.00
_symmetry_space_group_name_H-M 'R -3 m'
_symmetry_Int_Tables_number 166
_symmetry_space_group_name_Hall '-R 3 2"'
loop_
_atom_site_label
_atom_site_fract_x
_atom_site_fract_y
_atom_site_fract_z
Mo1 0.0000 0.0000 0.0000
O1 0.0000 0.0000 0.2638
```

Results
crystal system: trigonal
ΔH_f (0 K): -1.771 eV/atom